Entry 1:
DFT (PBE-GGA) results for BaSm5Al3Si9N20O after structural relaxation.

Values from the calculation:
ΔE_f in eV/atom: -1.38
MP2020-corrected energy in eV per atom: -7.97
Theoretical density in g/cm³: 5.15
Total energy in eV per cell: -310.3
Energy above the most stable polymorph in this dataset in meV per atom: 14

```
39
Lattice="-3.100 5.199 0.491 -3.368 -1.159 -8.875 -8.276 -4.795 -1.300" Properties=species:S:1:pos:R:3 pbc="T T T"
N -8.064 -3.410 -6.758
N -4.516 -0.450 -5.289
N -6.287 2.370 -5.656
N -8.922 2.193 -4.473
N -10.242 -3.670 -8.630
N -8.963 -3.363 -4.015
N -10.328 -0.489 -4.405
N -4.874 4.552 -4.027
N -3.206 0.154 -2.056
N -8.290 0.825 -1.824
N -5.802 0.146 -0.468
N -7.421 -3.505 -9.443
N -8.494 0.986 -7.076
N -6.698 2.724 -2.978
N -7.267 -0.314 -4.969
N -4.228 3.108 -1.571
N -6.181 -1.705 -2.469
N -3.209 2.013 -4.090
N -6.210 -1.504 -7.444
N -11.464 -0.837 -7.800
Al -9.244 -4.674 -7.429
Al -7.547 -3.895 -5.058
Al -6.003 3.561 -1.466
Si -11.817 -1.350 -4.411
Si -8.355 2.276 -2.758
Si -6.730 -3.130 -7.797
Si -5.835 -1.590 -0.770
Si -10.735 -0.220 -9.222
Si -5.991 -1.241 -5.738
Si -6.368 3.611 -4.440
Si -2.196 0.826 -3.267
Si -7.653 1.282 -5.591
O -4.945 1.477 -8.625
Sm -3.587 1.430 -0.075
Sm -8.643 -1.326 -2.911
Sm -12.341 -3.062 -7.756
Sm -9.369 -1.361 -6.517
Sm -5.389 0.612 -3.123
Ba -8.276 -4.789 -1.340
```

***

Entry 2:
DFT (PBE-GGA) results for BaSm5Al3Si9N20O after structural relaxation.

Values from the calculation:
ΔE_f in eV/atom: -1.39
MP2020-corrected energy in eV per atom: -7.99
Theoretical density in g/cm³: 5.13
Total energy in eV per cell: -310.8
Energy above the most stable polymorph in this dataset in meV per atom: 0

```
39
Lattice="6.185 0.000 0.000 0.050 9.574 0.000 0.025 4.780 8.297" Properties=species:S:1:pos:R:3 pbc="T T T"
N 1.345 9.467 2.891
N 1.570 4.800 4.788
N 3.053 9.459 8.259
N 0.524 9.572 5.523
N 6.192 11.870 3.992
N 6.166 7.080 4.316
N 4.732 11.379 6.467
N 4.922 4.531 5.363
N 4.905 2.541 1.330
N 5.725 4.779 2.758
N 4.938 7.147 1.680
N 1.324 7.452 7.030
N 4.716 9.451 3.492
N 1.523 3.078 1.658
N 0.046 4.976 0.002
N 3.191 2.457 4.230
N 3.216 7.206 4.042
N 4.666 7.816 6.551
N 1.357 11.925 6.752
N 1.587 6.544 1.767
Si 1.563 3.788 0.069
Si 6.124 3.094 2.363
Si 6.199 5.966 1.524
Si 4.699 12.403 5.056
Si 0.056 7.908 5.932
Si 0.099 10.068 3.869
Si 6.167 5.268 4.405
Si 0.130 10.757 6.791
Si 4.678 7.730 3.316
Al 1.595 2.974 5.035
Al 1.615 7.659 3.215
Al 4.647 8.508 8.244
Sm 3.107 1.191 2.066
Sm 3.100 7.187 0.010
Sm 3.133 5.974 6.227
Sm 3.163 9.551 5.543
Sm 3.093 4.809 2.779
O 3.122 4.780 8.288
Ba 0.055 9.576 0.023
```

***

Entry 3:
DFT (PBE-GGA) results for Rb8BaNaAl11Si13O48 after structural relaxation.

Values from the calculation:
ΔE_f in eV/atom: -3.09
MP2020-corrected energy in eV per atom: -7.48
Theoretical density in g/cm³: 1.99
Total energy in eV per cell: -580.7

```
82
Lattice="12.612 0.000 0.000 -0.060 12.271 0.000 -0.082 -0.013 12.241" Properties=species:S:1:pos:R:3 pbc="T T T"
O 5.997 3.018 0.105
O 9.805 6.120 0.149
O 8.756 8.599 0.318
O 11.166 8.170 10.839
O 1.367 1.263 7.848
O 1.414 10.892 4.452
O 1.386 4.535 10.864
O 1.497 4.268 1.341
O 8.918 3.445 12.210
O 0.508 3.785 3.777
O 4.364 10.999 1.314
O 1.367 7.902 1.328
O 11.360 4.072 10.956
O 2.977 6.163 0.093
O 11.263 10.811 8.098
O 7.950 1.719 1.676
O 7.858 1.254 11.026
O 1.499 1.349 4.302
O 8.029 10.633 10.643
O 9.809 0.051 6.079
O 4.148 1.403 1.374
O 8.764 0.208 8.572
O 12.428 9.456 6.015
O 11.302 8.268 1.420
O 5.954 9.309 12.213
O 5.953 12.204 9.299
O 3.362 12.221 8.788
O 3.462 8.813 0.079
O 11.233 1.571 3.898
O 11.378 10.983 4.035
O 9.010 0.016 3.411
O 1.307 10.850 7.791
O 12.499 2.836 6.296
O 5.997 0.184 3.020
O 12.397 5.940 9.260
O 11.303 1.338 8.205
O 7.844 11.088 1.268
O 3.379 3.464 12.178
O 11.227 3.893 1.550
O 3.408 12.251 3.464
O 2.970 -0.004 6.142
O 0.200 3.401 8.831
O 0.128 8.569 8.433
O 12.499 6.281 2.825
O 1.363 7.846 10.864
O 4.315 1.288 10.939
O 4.147 10.918 10.928
O 0.177 8.754 3.551
Si 4.487 2.270 12.227
Si -0.013 4.507 10.005
Si 2.209 12.208 7.655
Si -0.007 7.784 2.225
Si -0.005 2.178 7.774
Si 4.585 0.033 2.271
Si 4.502 12.219 9.983
Si 2.267 12.261 4.619
Si 2.244 4.638 12.228
Si 0.005 10.063 4.491
Si -0.083 9.941 7.600
Si 4.586 10.003 0.001
Si 2.200 7.678 12.227
Rb 6.914 11.938 6.563
Rb 3.133 4.113 3.996
Rb 9.232 9.362 2.969
Rb 6.918 6.585 11.921
Rb 9.111 3.579 3.453
Rb -0.104 10.620 10.856
Rb 9.278 2.945 9.323
Rb 0.128 6.377 6.451
Al 7.632 0.113 2.347
Al 0.025 4.612 2.325
Al 10.213 12.231 7.746
Al 7.638 2.369 0.061
Al 12.494 7.589 9.904
Al 10.378 0.098 4.469
Al 10.279 7.794 0.008
Al 7.668 12.154 9.949
Al 7.662 9.958 12.172
Al 0.029 2.344 4.621
Al 10.377 4.515 0.084
Ba 10.388 1.262 1.225
Na 1.904 1.992 1.973
```

***

The highest theoretical density belongs to which entry?
number 1

***

Among the records above, which one has the lowest ΔE_f?
Rb8BaNaAl11Si13O48

***

The highest MP2020-corrected energy belongs to which entry?
Rb8BaNaAl11Si13O48